(1)
Density functional theory data (GGA-PBE) for an optimized crystal structure of Bi4BPO10.

The structure in extended XYZ format:
```
128
Lattice="5.599 0.000 0.000 0.000 14.451 0.000 0.000 0.000 22.649" Properties=species:S:1:pos:R:3 pbc="T T T"
Bi 0.401 11.360 6.986
Bi 2.398 3.090 18.311
Bi 3.201 10.316 15.663
Bi 5.197 4.135 4.339
Bi 5.197 3.090 15.663
Bi 3.201 11.360 4.339
Bi 2.398 4.135 6.986
Bi 0.401 10.316 18.311
Bi 3.173 11.018 9.416
Bi 5.225 3.433 20.740
Bi 0.373 10.658 13.233
Bi 2.426 3.793 1.909
Bi 2.426 3.433 13.233
Bi 0.373 11.018 1.909
Bi 5.225 3.793 9.416
Bi 3.173 10.658 20.740
Bi 2.531 6.589 9.647
Bi 0.268 7.862 20.971
Bi 5.330 0.637 13.003
Bi 3.068 13.814 1.678
Bi 3.068 7.862 13.003
Bi 5.330 6.589 1.678
Bi 0.268 13.814 9.647
Bi 2.531 0.637 20.971
Bi 5.188 6.856 6.931
Bi 3.210 7.595 18.256
Bi 2.388 0.369 15.718
Bi 0.411 14.081 4.393
Bi 0.411 7.595 15.718
Bi 2.388 6.856 4.393
Bi 3.210 14.081 6.931
Bi 5.188 0.369 18.256
B 2.405 8.765 7.102
B 0.394 5.686 18.427
B 5.204 12.911 15.547
B 3.194 1.540 4.222
B 3.194 5.686 15.547
B 5.204 8.765 4.222
B 0.394 1.540 7.102
B 2.405 12.911 18.427
P 5.598 8.980 10.247
P 2.800 5.470 21.572
P 2.798 12.696 12.402
P 0.001 1.755 1.077
P 0.001 5.470 12.402
P 2.798 8.980 1.077
P 2.800 1.755 10.247
P 5.598 12.696 21.572
O 1.243 5.292 8.472
O 1.556 9.158 19.796
O 4.042 1.933 14.177
O 4.356 12.518 2.853
O 4.356 9.158 14.177
O 4.042 5.292 2.853
O 1.556 12.518 8.472
O 1.243 1.933 19.796
O 4.012 5.269 8.371
O 4.386 9.182 19.695
O 1.213 1.957 14.279
O 1.587 12.494 2.954
O 1.587 9.182 14.279
O 1.213 5.269 2.954
O 4.386 12.494 8.371
O 4.012 1.957 19.695
O 1.749 12.697 5.693
O 1.051 1.753 17.018
O 4.548 8.979 16.956
O 3.850 5.472 5.631
O 3.850 1.753 16.956
O 4.548 12.697 5.631
O 1.051 5.472 5.693
O 1.749 8.979 17.018
O 4.224 8.783 10.936
O 4.174 5.667 22.260
O 1.424 12.893 11.714
O 1.375 1.558 0.389
O 1.375 5.667 11.714
O 1.424 8.783 0.389
O 4.174 1.558 10.936
O 4.224 12.893 22.260
O 5.372 10.164 9.226
O 3.026 4.286 20.550
O 2.573 11.512 13.423
O 0.227 2.939 2.099
O 0.227 4.286 13.423
O 2.573 10.164 2.099
O 3.026 2.939 9.226
O 5.372 11.512 20.550
O 0.464 7.733 9.443
O 2.336 6.718 20.767
O 3.263 13.943 13.207
O 5.135 0.507 1.882
O 5.135 6.718 13.207
O 3.263 7.733 1.882
O 2.336 0.507 9.443
O 0.464 13.943 20.767
O 1.108 9.369 11.269
O 1.691 5.082 22.594
O 3.907 12.307 11.380
O 4.491 2.143 0.055
O 4.491 5.082 11.380
O 3.907 9.369 0.055
O 1.691 2.143 11.269
O 1.108 12.307 22.594
O 1.561 8.298 6.125
O 1.239 6.153 17.450
O 4.360 13.378 16.524
O 4.038 1.072 5.199
O 4.038 6.153 16.524
O 4.360 8.298 5.199
O 1.239 1.072 6.125
O 1.561 13.378 17.450
O 2.524 10.143 7.325
O 0.275 4.308 18.649
O 5.323 11.533 15.324
O 3.075 2.918 4.000
O 3.075 4.308 15.324
O 5.323 10.143 4.000
O 0.275 2.918 7.325
O 2.524 11.533 18.649
O 3.129 7.892 7.922
O 5.269 6.559 19.246
O 0.330 13.784 14.727
O 2.470 0.666 3.403
O 2.470 6.559 14.727
O 0.330 7.892 3.403
O 5.269 0.666 7.922
O 3.129 13.784 19.246
```

Output
Volume in Å³/cell: 1832.4
Symmetry: Pbca
Calculated total energy in eV per atom: -6.54
Formation energy in eV per atom: -2.1530
Spin magnetization in μB/cell: 0.00

---

(2)
Density functional theory data (GGA-PBE) for an optimized crystal structure of BiBPbO4.

The structure in extended XYZ format:
```
28
Lattice="7.586 0.000 0.000 0.000 7.642 0.000 0.000 7.228 7.753" Properties=species:S:1:pos:R:3 pbc="T T T"
Bi 7.580 8.722 2.661
Bi 3.800 12.335 6.537
Bi 0.007 6.148 5.092
Bi 3.787 2.534 1.216
B 1.843 0.087 0.089
B 5.743 14.782 7.663
B 1.950 3.701 3.966
B 5.636 11.168 3.787
Pb 6.753 9.719 6.330
Pb 4.626 6.105 2.453
Pb 2.960 8.764 5.300
Pb 0.833 5.150 1.423
O 6.807 6.693 3.073
O 5.990 9.854 4.092
O 3.014 4.563 0.804
O 5.389 6.240 0.216
O 5.336 3.865 2.462
O 1.995 10.369 2.990
O 5.788 0.886 0.886
O 0.779 8.176 4.680
O 2.197 8.629 7.537
O 1.596 5.015 3.661
O 1.798 13.983 6.866
O 1.543 7.390 1.414
O 2.250 11.004 5.290
O 5.591 4.500 4.763
O 6.043 7.479 6.339
O 4.572 10.307 6.949
```

Output
Volume in Å³/cell: 449.4
Symmetry: P2_1/c
Calculated total energy in eV per atom: -6.57
Formation energy in eV per atom: -2.0944

---

(3)
Density functional theory data (GGA-PBE) for an optimized crystal structure of BiBPbO4.

The structure in extended XYZ format:
```
28
Lattice="4.393 6.229 1.184 -6.493 4.157 -0.251 -0.827 -0.840 7.485" Properties=species:S:1:pos:R:3 pbc="T T T"
Bi 0.260 5.101 4.437
Bi -4.769 4.485 -0.024
Bi -3.187 4.445 3.982
Bi 2.670 5.901 0.957
B 1.965 3.029 2.475
B 0.552 7.552 6.662
B -4.891 6.516 5.944
B -3.478 1.993 1.757
Pb -0.708 1.574 3.099
Pb -2.218 7.971 5.319
Pb -1.402 2.541 6.967
Pb -1.524 7.004 1.452
O 0.657 3.467 2.720
O -0.403 6.684 6.118
O 0.573 1.417 6.316
O -0.319 8.734 2.522
O -3.584 6.079 5.699
O -2.524 2.861 2.300
O -3.500 8.129 2.103
O -2.607 0.811 5.897
O -1.338 3.630 4.906
O -1.589 5.915 3.513
O -0.300 0.965 0.886
O -2.626 8.580 7.533
O -4.256 5.841 2.103
O -4.113 2.668 5.598
O 1.330 3.704 6.316
O 1.187 6.877 2.820
```

Output
Volume in Å³/cell: 450.3
Symmetry: Cmce
Calculated total energy in eV per atom: -6.57
Formation energy in eV per atom: -2.0943
Spin magnetization in μB/cell: 0.00

---

(4)
Density functional theory data (GGA-PBE) for an optimized crystal structure of SrBi2B2O7.

The structure in extended XYZ format:
```
72
Lattice="4.611 -7.987 0.000 4.611 7.987 0.000 0.000 0.000 13.250" Properties=species:S:1:pos:R:3 pbc="T T T"
Sr 1.880 -2.523 9.937
Sr 3.125 0.367 3.312
Sr 6.098 -0.367 9.937
Sr 5.856 -5.097 9.937
Sr 7.342 2.523 3.312
Sr 3.366 5.097 3.312
Bi 3.252 5.135 12.037
Bi 1.790 -2.603 1.213
Bi 3.252 5.135 7.838
Bi 3.149 0.249 7.838
Bi 7.432 2.603 12.037
Bi 6.073 -0.249 5.412
Bi 6.073 -0.249 1.213
Bi 5.970 -5.135 5.412
Bi 1.790 -2.603 5.412
Bi 3.149 0.249 12.037
Bi 5.970 -5.135 1.213
Bi 7.432 2.603 7.838
B 4.611 -2.662 4.848
B 4.611 -2.662 7.751
B 4.611 2.662 5.499
B 0.000 0.000 11.706
B 4.611 2.662 1.126
B 0.000 0.000 5.081
B 0.000 0.000 8.169
B 4.611 -2.662 1.777
B 0.000 0.000 1.544
B 4.611 2.662 11.473
B 4.611 2.662 8.402
B 4.611 -2.662 12.124
O 1.319 -0.419 5.071
O 8.200 -0.933 1.554
O 5.994 2.471 5.492
O 8.200 -0.933 5.071
O 3.243 2.507 8.372
O 5.161 3.925 11.503
O 5.161 3.925 8.372
O 4.908 6.635 8.179
O 3.792 -1.555 4.878
O 5.854 0.303 3.312
O 7.276 -2.765 9.937
O 5.468 -1.560 12.117
O 4.085 3.956 5.492
O 4.314 -6.635 1.554
O 1.946 2.765 3.312
O 3.754 1.560 1.133
O 7.903 0.419 8.179
O 3.243 2.507 11.503
O 7.903 0.419 11.696
O 3.792 -1.555 1.747
O 3.754 1.560 5.492
O 5.430 1.555 8.372
O 3.228 -2.471 7.758
O 3.228 -2.471 12.117
O 4.062 -3.925 4.878
O 4.908 6.635 11.696
O 5.468 -1.560 7.758
O 6.033 4.919 3.312
O 3.368 -0.303 9.937
O 1.022 0.933 8.179
O 5.430 1.555 11.503
O 4.062 -3.925 1.747
O 1.022 0.933 11.696
O 4.314 -6.635 5.071
O 5.137 -3.956 12.117
O 1.319 -0.419 1.554
O 5.979 -2.507 1.747
O 3.189 -4.919 9.937
O 4.085 3.956 1.133
O 5.137 -3.956 7.758
O 5.979 -2.507 4.878
O 5.994 2.471 1.133
```

Output
Volume in Å³/cell: 975.9
Symmetry: P6_3/m
Calculated total energy in eV per atom: -6.89
Formation energy in eV per atom: -2.4972
Spin magnetization in μB/cell: 0.00

---

(5)
Density functional theory data (GGA-PBE) for an optimized crystal structure of ZnBi2B2O7.

The structure in extended XYZ format:
```
48
Lattice="4.953 0.000 0.000 0.000 10.958 0.000 0.000 0.000 11.127" Properties=species:S:1:pos:R:3 pbc="T T T"
Zn 0.346 8.125 2.673
Zn 0.346 2.646 2.890
Zn 0.346 2.833 8.454
Zn 0.346 8.312 8.237
Bi 2.881 3.508 0.364
Bi 2.863 5.643 3.480
Bi 2.863 5.315 7.647
Bi 2.881 7.450 10.763
Bi 2.863 10.794 9.043
Bi 2.881 1.971 5.927
Bi 2.881 8.987 5.200
Bi 2.863 0.164 2.084
B 0.618 5.636 9.716
B 0.400 4.213 5.340
B 0.618 10.801 4.153
B 0.400 9.692 0.223
B 0.618 0.157 6.974
B 0.400 1.265 10.904
B 0.400 6.744 5.787
B 0.618 5.322 1.411
O 4.740 5.479 5.564
O 1.072 5.479 0.000
O 4.608 2.153 10.185
O 4.608 7.632 6.505
O 3.654 2.187 1.941
O 4.740 0.000 0.000
O 4.108 5.248 1.560
O 1.230 0.953 3.338
O 4.108 5.710 9.567
O 1.072 0.000 5.564
O 3.654 3.292 7.505
O 4.608 8.805 0.942
O 4.608 3.326 4.622
O 1.323 9.548 3.636
O 1.323 1.410 7.491
O 1.664 6.953 5.318
O 1.664 9.483 10.882
O 1.664 1.474 0.245
O 1.230 6.432 2.226
O 1.230 10.005 7.789
O 4.108 10.727 4.004
O 1.664 4.004 5.809
O 3.654 7.666 3.622
O 1.230 4.526 8.901
O 4.108 0.231 7.123
O 3.654 8.771 9.186
O 1.323 4.069 1.928
O 1.323 6.889 9.199
```

Output
Volume in Å³/cell: 603.9
Symmetry: Pba2
Calculated total energy in eV per atom: -6.56
Formation energy in eV per atom: -2.2079

---

(6)
Density functional theory data (GGA-PBE) for an optimized crystal structure of BiBTe.

The structure in extended XYZ format:
```
3
Lattice="2.556 -0.459 3.905 -1.502 -2.769 3.474 2.205 -4.040 0.898" Properties=species:S:1:pos:R:3 pbc="T T T"
Bi 0.000 0.000 0.000
B 2.444 -5.451 6.208
Te 1.629 -3.634 4.138
```

Output
Volume in Å³/cell: 72.9
Symmetry: F-43m
Calculated total energy in eV per atom: -3.45
Formation energy in eV per atom: 0.9803
Spin magnetization in μB/cell: 0.00

---

(7)
Density functional theory data (GGA-PBE) for an optimized crystal structure of Ca3BCBr2N.

The structure in extended XYZ format:
```
32
Lattice="3.924 0.000 0.000 0.000 11.439 0.000 0.000 0.000 14.547" Properties=species:S:1:pos:R:3 pbc="T T T"
Ca 0.981 4.089 5.693
Ca 2.943 7.350 8.854
Ca 2.943 9.809 1.580
Ca 0.981 1.630 12.967
Ca 0.981 6.512 2.083
Ca 2.943 4.927 12.464
Ca 2.943 0.793 5.191
Ca 0.981 10.646 9.356
Ca 0.981 2.285 2.803
Ca 2.943 9.154 11.744
Ca 2.943 8.004 4.471
Ca 0.981 3.435 10.077
B 0.981 10.279 3.546
B 2.943 1.159 11.002
B 2.943 4.560 3.728
B 0.981 6.879 10.819
C 0.981 8.926 3.009
C 2.943 2.513 11.539
C 2.943 3.207 4.265
C 0.981 8.232 10.282
Br 0.981 6.935 6.464
Br 2.943 4.504 8.083
Br 2.943 1.216 0.809
Br 0.981 10.223 13.738
Br 0.981 4.129 0.166
Br 2.943 7.310 14.381
Br 2.943 9.848 7.108
Br 0.981 1.591 7.439
N 0.981 0.152 3.930
N 2.943 11.287 10.618
N 2.943 5.871 3.344
N 0.981 5.567 11.203
```

Output
Volume in Å³/cell: 652.9
Symmetry: Pnma
Calculated total energy in eV per atom: -5.40
Formation energy in eV per atom: -1.2489
Spin magnetization in μB/cell: 0.00

---

(8)
Density functional theory data (GGA-PBE) for an optimized crystal structure of Ce6B2C3Br3.

The structure in extended XYZ format:
```
14
Lattice="-2.317 2.846 -0.209 -5.651 -4.236 4.956 1.105 1.634 9.974" Properties=species:S:1:pos:R:3 pbc="T T T"
Ce -3.480 -2.219 8.346
Ce -1.310 1.437 1.758
Ce -4.482 -0.891 5.217
Ce -1.066 -0.384 6.584
Ce -5.553 -1.193 12.962
Ce -2.381 1.135 9.503
B -5.006 -3.701 5.096
B 0.460 1.099 9.835
C -4.458 -3.157 6.421
C -0.088 0.555 8.509
C -3.432 0.122 7.360
Br -2.765 -1.417 11.332
Br -0.606 2.240 4.882
Br -1.782 -1.185 3.598
```

Output
Volume in Å³/cell: 293.6
Symmetry: P2/m
Calculated total energy in eV per atom: -6.66
Formation energy in eV per atom: -0.9504
Spin magnetization in μB/cell: 4.31